VASP calculation (GGA-PBE) on crystalline SrCa3Lu9O18 at its relaxed geometry. Values from VASP.

- electronic total energy (eV per cell) = -484.3
- formation energy (meV per atom) = -3776

Geometry as Quantum ESPRESSO input:
```
&SYSTEM
  ibrav = 0, nat = 62, ntyp = 4
/
ATOMIC_SPECIES
O 16.00 O.upf
Lu 174.97 Lu.upf
Ca 40.08 Ca.upf
Sr 87.62 Sr.upf
CELL_PARAMETERS angstrom
-8.833 -2.680 -14.665
-3.669 -9.307 14.149
-2.229 2.285 0.925
ATOMIC_POSITIONS crystal
O 0.361 0.540 0.254
O 0.974 0.552 0.752
O 0.578 0.026 0.752
O 0.886 0.248 0.247
O 0.180 0.026 0.749
O 0.306 0.804 0.743
O 0.248 0.362 0.747
O 0.781 0.091 0.748
O 0.804 0.498 0.243
O 0.694 0.196 0.243
O 0.821 0.361 0.754
O 0.179 0.639 0.254
O 0.154 0.180 0.249
O 0.909 0.690 0.748
O 0.026 0.448 0.252
O 0.639 0.460 0.754
O 0.638 0.886 0.747
O 0.502 0.306 0.243
O 0.362 0.114 0.247
O 0.498 0.694 0.743
O 0.091 0.310 0.248
O 0.310 0.219 0.748
O 0.752 0.638 0.247
O 0.448 0.422 0.752
O 0.820 0.974 0.249
O 0.552 0.578 0.252
O 0.114 0.752 0.747
O 0.219 0.909 0.248
O 0.422 0.974 0.252
O 0.974 0.154 0.749
O 0.690 0.781 0.248
O 0.846 0.820 0.749
O 0.540 0.179 0.754
O 0.196 0.502 0.743
O 0.460 0.821 0.254
O 0.026 0.846 0.249
Lu 0.887 0.116 0.249
Lu 0.102 0.550 0.756
Lu 0.784 0.219 0.743
Lu 0.552 0.102 0.256
Lu 0.550 0.448 0.256
Lu 0.565 0.784 0.243
Lu 0.771 0.887 0.749
Lu 0.435 0.216 0.743
Lu 0.898 0.450 0.256
Lu 0.216 0.781 0.243
Lu 0.448 0.898 0.756
Lu 0.113 0.884 0.749
Lu 0.116 0.229 0.749
Lu 0.219 0.435 0.243
Lu 0.884 0.771 0.249
Lu 0.229 0.113 0.249
Lu 0.450 0.552 0.756
Lu 0.781 0.565 0.743
Ca 0.002 0.329 0.749
Ca 0.329 0.327 0.249
Ca 0.671 0.673 0.749
Ca 0.327 0.998 0.749
Ca 0.998 0.671 0.249
Ca 0.673 0.002 0.249
Sr 0.333 0.667 0.531
Sr 0.667 0.333 0.031
```